Density functional theory data (r²SCAN) for an optimized crystal structure of Li2TlCd.

DFT formation energy   -0.267 eV/atom
DFT total energy   -19.78 eV/atom

```
data_Li2TlCd
_cell_length_a 6.7174
_cell_length_b 6.7174
_cell_length_c 6.7174
_cell_angle_alpha 90.00
_cell_angle_beta 90.00
_cell_angle_gamma 90.00
_symmetry_space_group_name_H-M 'F m -3 m'
_symmetry_Int_Tables_number 225
_symmetry_space_group_name_Hall '-F 4 2 3'
loop_
_atom_site_label
_atom_site_type_symbol
_atom_site_fract_x
_atom_site_fract_y
_atom_site_fract_z
Li1 Li 0.2500 0.2500 0.2500
Tl1 Tl 0.0000 0.0000 0.0000
Cd1 Cd 0.0000 0.0000 0.5000
```